1.
Compound: Tl2Cu3Se6O18
Source: Materials Project
Functional: PBE-GGA
Structure: optimized geometry

total moment: 1.00 μB per formula unit
formation energy: -1.151 eV/atom
final energy: -148.071 eV/cell

```
29
Lattice="-3.490 -0.111 3.369 -7.194 -4.439 -5.015 -0.117 -10.091 1.559" Properties=species:S:1:pos:R:3 pbc="T T T"
Tl -3.911 -8.293 0.978
Tl -6.891 -6.349 -1.066
Cu -4.542 -3.249 -1.829
Cu -6.260 -11.393 1.741
Cu 0.000 0.000 0.000
Se -7.935 -13.260 -0.329
Se -9.877 -7.735 -1.016
Se -0.924 -6.907 0.929
Se -5.791 -9.740 -1.118
Se -5.011 -4.902 1.031
Se -2.866 -1.382 0.242
O -7.868 -12.611 1.311
O -6.227 -8.449 -0.063
O -2.071 -9.995 1.590
O -3.694 -2.030 3.386
O -2.933 -2.032 -1.398
O -4.574 -6.193 -0.024
O -6.736 -5.075 0.796
O -6.328 -4.088 -2.081
O -8.730 -4.648 -1.678
O -6.239 -11.127 -0.190
O -2.348 -6.952 1.917
O -4.562 -3.515 0.103
O -5.137 -7.640 2.849
O -8.453 -7.690 -2.004
O -5.665 -7.002 -2.936
O -7.107 -12.612 -3.474
O -4.066 -9.568 -0.883
O -4.473 -10.554 1.994
```

***

2.
Compound: CaSi2O5
Source: Materials Project
Functional: PBE-GGA
Structure: optimized geometry

total moment: 0.00 μB per formula unit
formation energy: -3.287 eV/atom
final energy: -241.829 eV/cell

```
32
Lattice="-3.960 3.468 4.026 0.509 -4.672 5.603 5.253 2.380 4.993" Properties=species:S:1:pos:R:3 pbc="T T T"
Ca -1.279 2.491 3.685
Ca 3.081 -1.315 10.937
Ca -1.313 1.454 7.455
Ca 3.115 -0.279 7.166
Si 0.775 0.476 9.383
Si 1.027 0.700 5.238
Si -0.029 -0.324 1.970
Si 1.831 1.500 12.651
Si 1.044 3.482 8.505
Si 0.758 -2.306 6.117
Si 2.627 1.190 2.496
Si -1.725 -0.602 4.815
O 2.510 2.147 11.320
O -0.708 -0.971 3.301
O 2.430 0.408 9.358
O -0.628 0.768 5.264
O 2.607 2.953 8.873
O -0.804 -1.777 5.749
O 1.483 1.489 3.861
O 0.319 -0.314 10.761
O 4.639 1.104 5.738
O -2.837 0.071 8.884
O -0.351 3.564 7.528
O 2.153 -2.388 7.093
O -0.599 1.190 1.641
O 2.401 -0.015 12.980
O 1.492 -0.876 5.331
O 0.311 2.052 9.290
O 4.140 -1.991 8.638
O -2.337 3.167 5.984
O 1.682 1.531 6.458
O 0.120 -0.355 8.164
```

***

3.
Compound: Cu8GeSe6
Source: Materials Project
Functional: PBE-GGA
Structure: optimized geometry

total moment: 0.00 μB per formula unit
energy above the most stable polymorph in this dataset: 0.00 eV per formula unit
formation energy: -0.296 eV/atom
final energy: -359.992 eV/cell

```
90
Lattice="0.239 12.154 3.747 -10.978 -5.338 -3.579 -1.976 -3.388 11.114" Properties=species:S:1:pos:R:3 pbc="T T T"
Cu -2.046 8.970 3.062
Cu -9.900 -4.222 3.893
Cu -8.842 -5.002 8.528
Cu -2.673 7.047 8.613
Cu -4.586 7.210 6.758
Cu -7.970 4.877 7.009
Cu -1.793 3.277 1.371
Cu -4.956 -1.414 5.628
Cu -1.411 2.978 10.271
Cu -6.990 6.162 1.326
Cu -11.277 -1.581 9.138
Cu -8.773 3.440 9.938
Cu -7.114 -1.392 9.936
Cu -5.283 -2.883 8.631
Cu -5.666 0.868 10.882
Cu -0.403 5.658 5.018
Cu -2.958 -2.550 4.423
Cu -10.325 -1.739 3.010
Cu -7.773 5.728 4.564
Cu -3.902 -1.972 10.681
Cu -3.150 1.403 6.808
Cu -2.685 1.897 4.301
Cu -6.564 -5.058 6.905
Cu -10.154 1.471 5.583
Cu -6.314 3.600 5.350
Cu -3.137 0.464 10.033
Cu -7.247 4.703 11.770
Cu -3.103 3.948 12.276
Cu -2.035 7.930 6.256
Cu -3.548 6.569 11.821
Cu -4.283 -0.595 3.258
Cu -7.762 1.341 4.404
Cu -8.797 3.345 0.146
Cu -1.700 6.636 13.696
Cu -5.466 2.219 3.070
Cu -6.467 -3.798 1.057
Cu -0.861 0.720 5.793
Cu -10.820 -7.586 7.739
Cu -9.508 -3.724 1.375
Cu -2.151 3.790 6.149
Cu -6.181 -2.495 3.516
Cu -7.326 1.079 8.640
Cu -9.273 -2.300 -1.659
Cu -9.920 2.381 3.162
Cu -11.021 -5.084 6.940
Cu -9.637 3.990 5.229
Cu -3.976 -0.129 -0.055
Cu -10.371 0.948 8.894
Ge -4.831 4.043 8.786
Ge -3.842 5.737 3.229
Ge -7.581 -0.094 0.787
Ge -1.384 -2.373 7.785
Ge -8.570 -1.787 6.344
Ge -0.396 -0.679 2.228
Se 0.000 7.654 3.316
Se -7.905 -4.924 2.655
Se -3.897 2.108 0.933
Se -2.491 -1.810 2.088
Se -4.968 -3.820 5.184
Se -9.267 4.737 2.879
Se -9.159 -2.798 9.659
Se -8.142 2.482 6.541
Se -6.921 5.036 9.345
Se -0.444 1.383 3.426
Se -4.432 4.727 6.545
Se -6.637 -1.069 7.535
Se -1.281 7.407 11.362
Se -7.309 -3.745 -1.458
Se -5.973 4.678 3.156
Se -0.987 -1.691 5.548
Se -3.809 7.762 4.481
Se -1.060 2.274 7.737
Se -8.171 -1.104 4.102
Se -3.436 -1.285 8.329
Se -10.568 -0.651 6.963
Se -9.626 -1.309 0.681
Se -5.690 -1.427 1.345
Se -8.801 -4.153 6.210
Se -5.420 3.033 12.101
Se -10.450 -6.893 5.373
Se -5.820 -5.123 9.214
Se -1.782 1.175 11.852
Se -0.727 6.271 7.344
Se -7.727 1.944 2.010
Se -8.741 1.161 10.610
Se -4.746 0.947 5.006
Se -2.985 4.918 10.009
Se -4.884 1.666 8.680
Se -1.975 -3.385 11.105
Se -2.043 4.260 3.727
```

***

4.
Compound: LaNi9Ge4
Source: Materials Project
Functional: PBE-GGA
Structure: optimized geometry

total moment: 0.01 μB per formula unit
formation energy: -0.417 eV/atom
final energy: -162.573 eV/cell

```
28
Lattice="-3.996 3.996 5.902 3.996 -3.996 5.902 3.996 3.996 -5.902" Properties=species:S:1:pos:R:3 pbc="T T T"
La 0.000 0.000 8.853
La 0.000 0.000 2.951
Ni 1.631 0.544 0.000
Ni 2.364 3.452 5.902
Ni 2.364 4.540 0.000
Ni 1.631 -0.544 5.902
Ni 0.544 6.360 0.000
Ni 3.452 -2.364 5.902
Ni 0.544 1.631 5.902
Ni 3.452 2.364 0.000
Ni 5.007 1.011 3.754
Ni 2.985 -1.011 3.754
Ni -1.011 5.007 3.754
Ni 1.011 2.985 3.754
Ni -1.011 2.985 2.148
Ni 1.011 5.007 2.148
Ni 5.007 -1.011 2.148
Ni 2.985 1.011 2.148
Ni 3.996 0.000 0.000
Ni 0.000 3.996 0.000
Ge 5.370 1.374 -1.428
Ge -1.374 2.622 4.474
Ge 2.622 1.374 4.474
Ge 1.374 2.622 -1.428
Ge -1.374 2.622 7.330
Ge 5.370 1.374 1.428
Ge 1.374 2.622 1.428
Ge 2.622 1.374 7.330
```

***

5.
Compound: ErH3O3
Source: Materials Project
Functional: PBE-GGA
Structure: optimized geometry

total moment: 0.00 μB per formula unit
formation energy: -2.249 eV/atom
final energy: -86.543 eV/cell

```
14
Lattice="-4.240 3.099 3.528 -1.908 -3.377 -4.999 -0.360 -2.807 2.034" Properties=species:S:1:pos:R:3 pbc="T T T"
Er -3.732 -1.165 2.211
Er -2.775 -1.920 -1.648
H -4.961 -2.789 -0.249
H -5.092 -0.474 -0.062
H -1.415 -2.611 0.625
H -1.546 -0.295 0.812
H -4.019 1.485 2.833
H -2.488 -4.570 -2.270
O -5.110 0.099 0.726
O -4.130 -2.564 0.209
O -1.397 -3.184 -0.163
O -2.377 -0.521 0.354
O -3.170 1.137 2.503
O -3.337 -4.222 -1.940
```

***

6.
Compound: CsCOF3
Source: Materials Project
Functional: PBE-GGA
Structure: optimized geometry

formation energy: -2.331 eV/atom
final energy: -130.908 eV/cell

```
24
Lattice="7.905 0.000 0.000 0.000 6.078 0.000 0.000 0.134 9.630" Properties=species:S:1:pos:R:3 pbc="T T T"
Cs 5.203 1.651 1.725
Cs 1.250 4.494 3.090
Cs 2.702 4.561 7.905
Cs 6.654 1.718 6.540
C 2.334 1.698 5.464
C 6.286 4.581 8.981
C 5.571 4.514 4.166
C 1.618 1.631 0.649
O 2.305 2.642 0.801
O 5.600 3.570 8.829
O 1.647 2.709 5.616
O 6.258 3.503 4.014
F 0.963 1.597 9.023
F 2.990 1.530 4.208
F 4.915 4.682 5.422
F 6.942 4.615 0.607
F 2.329 0.354 0.772
F 6.282 5.791 4.043
F 5.576 5.858 8.858
F 1.623 0.421 5.587
F 0.541 1.430 1.589
F 4.493 4.715 3.226
F 7.364 4.782 8.041
F 3.411 1.497 6.404
```